Record 1
Mg3Sn after structural relaxation, computed with PBE-GGA.

a b c (Å): 3.327 3.327 9.989
angles (deg): 90.00 90.00 120.00
Element x y z (fractional)
Mg 0.667 0.333 0.000
Mg 0.000 0.000 0.751
Mg 0.000 0.000 0.249
Sn 0.667 0.333 0.500

Properties
total energy	-2.22	eV per atom
space group	No. 187
energy relative to the elements	-1.68	kJ/mol of atoms
magnetic moment	0.0	μB/f.u.

Record 2
MgSn after structural relaxation, computed with PBE-GGA.

a b c (Å): 5.582 5.582 5.857
angles (deg): 71.52 71.52 60.88
Element x y z (fractional)
Mg 0.000 0.336 0.995
Mg 0.664 0.000 0.005
Mg 0.502 0.498 0.500
Sn 0.343 0.657 0.000
Sn 0.827 0.836 0.501
Sn 0.164 0.173 0.499

Properties
total energy	-2.87	eV per atom
space group	No. 5
energy relative to the elements	-6.53	kJ/mol of atoms
magnetic moment	0.0	μB/f.u.

Record 3
MgSn after structural relaxation, computed with PBE-GGA.

a b c (Å): 6.837 6.837 7.081
angles (deg): 74.70 74.70 27.82
Element x y z (fractional)
Mg 0.614 0.614 0.279
Mg 0.328 0.328 0.336
Mg 0.278 0.278 0.937
Sn 0.994 0.994 0.017
Sn 0.944 0.944 0.601
Sn 0.676 0.676 0.664

Properties
total energy	-2.85	eV per atom
space group	No. 8
energy relative to the elements	-4.25	kJ/mol of atoms
magnetic moment	0.0	μB/f.u.

Record 4
MgSn after structural relaxation, computed with PBE-GGA.

a b c (Å): 6.594 6.594 7.476
angles (deg): 73.27 73.27 29.06
Element x y z (fractional)
Mg 0.000 0.000 0.004
Mg 0.668 0.668 0.663
Mg 0.276 0.276 0.942
Sn 0.615 0.615 0.266
Sn 0.330 0.330 0.330
Sn 0.944 0.944 0.629

Properties
total energy	-2.82	eV per atom
space group	No. 8
energy relative to the elements	-1.47	kJ/mol of atoms
magnetic moment	0.0	μB/f.u.

Record 5
MgSn after structural relaxation, computed with PBE-GGA.

a b c (Å): 4.238 4.238 4.238
angles (deg): 60.00 60.00 60.00
Element x y z (fractional)
Mg 0.000 0.000 0.000
Sn 0.500 0.500 0.500

Properties
total energy	-2.71	eV per atom
space group	No. 225
energy relative to the elements	9.16	kJ/mol of atoms
magnetic moment	0.0	μB/f.u.

Record 6
Mg5Sn after structural relaxation, computed with PBE-GGA.

a b c (Å): 6.141 6.141 6.141
angles (deg): 53.53 53.53 53.53
Element x y z (fractional)
Mg 0.000 0.667 0.333
Mg 0.833 0.833 0.833
Mg 0.667 0.333 0.000
Mg 0.333 0.000 0.667
Mg 0.167 0.167 0.167
Sn 0.500 0.500 0.500

Properties
total energy	-2.05	eV per atom
ΔE to the lowest computed polymorph	0.0	meV per atom
space group	No. 155
energy relative to the elements	-4.44	kJ/mol of atoms

Record 7
Mg3Sn after structural relaxation, computed with PBE-GGA.

a b c (Å): 5.637 5.637 5.637
angles (deg): 133.87 133.87 67.29
Element x y z (fractional)
Mg 0.500 0.500 0.000
Mg 0.250 0.750 0.500
Mg 0.750 0.250 0.500
Sn 0.000 0.000 0.000

Properties
total energy	-2.30	eV per atom
space group	No. 139
energy relative to the elements	-9.45	kJ/mol of atoms

Record 8
Mg3Sn after structural relaxation, computed with PBE-GGA.

a b c (Å): 6.329 6.329 5.269
angles (deg): 90.00 90.00 120.00
Element x y z (fractional)
Mg 0.842 0.669 0.750
Mg 0.331 0.173 0.750
Mg 0.827 0.158 0.750
Mg 0.158 0.331 0.250
Mg 0.669 0.827 0.250
Mg 0.173 0.842 0.250
Sn 0.333 0.667 0.750
Sn 0.667 0.333 0.250

Properties
total energy	-2.30	eV per atom
space group	No. 176
energy relative to the elements	-9.74	kJ/mol of atoms

Record 9
Mg3Sn after structural relaxation, computed with PBE-GGA.

a b c (Å): 5.097 5.097 5.097
angles (deg): 60.00 60.00 60.00
Element x y z (fractional)
Mg 0.500 0.500 0.500
Mg 0.250 0.250 0.250
Mg 0.750 0.750 0.750
Sn 0.000 0.000 0.000

Properties
total energy	-2.26	eV per atom
space group	No. 225
energy relative to the elements	-5.52	kJ/mol of atoms
magnetic moment	0.0	μB/f.u.

Record 10
Mg9Sn5 after structural relaxation, computed with PBE-GGA.

a b c (Å): 8.888 8.888 8.888
angles (deg): 96.88 96.88 96.88
Element x y z (fractional)
Mg 0.752 0.349 0.660
Mg 0.349 0.660 0.752
Mg 0.660 0.752 0.349
Mg 0.257 0.662 0.349
Mg 0.662 0.349 0.257
Mg 0.349 0.257 0.662
Mg 0.606 0.979 0.676
Mg 0.979 0.676 0.606
Mg 0.676 0.606 0.979
Mg 0.404 0.031 0.334
Mg 0.082 0.680 0.999
Mg 0.999 0.082 0.680
Mg 0.680 0.999 0.082
Mg 0.928 0.328 0.010
Mg 0.010 0.928 0.328
Mg 0.328 0.010 0.928
Mg 0.334 0.404 0.031
Mg 0.031 0.334 0.404
Sn 0.139 0.139 0.139
Sn 0.875 0.875 0.875
Sn 0.375 0.375 0.375
Sn 0.638 0.638 0.638
Sn 0.593 0.255 0.917
Sn 0.255 0.917 0.593
Sn 0.917 0.593 0.255
Sn 0.417 0.755 0.093
Sn 0.755 0.093 0.417
Sn 0.093 0.417 0.755

Properties
total energy	-2.64	eV per atom
ΔE to the lowest computed polymorph	0.0	meV per atom
space group	No. 146
energy relative to the elements	-17.21	kJ/mol of atoms
magnetic moment	0.0	μB/f.u.

Record 11
MgSn after structural relaxation, computed with PBE-GGA.

a b c (Å): 3.335 3.335 15.481
angles (deg): 90.00 90.00 120.00
Element x y z (fractional)
Mg 0.000 0.000 0.166
Mg 0.333 0.667 0.325
Mg 0.000 0.000 0.841
Sn 0.333 0.667 0.002
Sn 0.000 0.000 0.489
Sn 0.333 0.667 0.677

Properties
total energy	-2.84	eV per atom
space group	No. 156
energy relative to the elements	-3.57	kJ/mol of atoms
magnetic moment	0.0	μB/f.u.

Record 12
Mg5Sn after structural relaxation, computed with PBE-GGA.

a b c (Å): 3.249 3.249 15.489
angles (deg): 90.00 90.00 120.00
Element x y z (fractional)
Mg 0.000 0.000 0.164
Mg 0.667 0.333 0.334
Mg 0.000 0.000 0.500
Mg 0.667 0.333 0.666
Mg 0.000 0.000 0.836
Sn 0.667 0.333 0.000

Properties
total energy	-2.00	eV per atom
ΔE to the lowest computed polymorph	48.7	meV per atom
space group	No. 187
energy relative to the elements	0.26	kJ/mol of atoms
magnetic moment	0.0	μB/f.u.

Record 13
MgSn after structural relaxation, computed with PBE-GGA.

a b c (Å): 3.499 4.992 5.723
angles (deg): 90.00 90.00 90.00
Element x y z (fractional)
Mg 0.000 0.092 0.000
Mg 0.500 0.908 0.500
Sn 0.500 0.591 0.000
Sn 0.000 0.409 0.500

Properties
total energy	-2.87	eV per atom
space group	No. 59
energy relative to the elements	-6.53	kJ/mol of atoms

Record 14
MgSn after structural relaxation, computed with PBE-GGA.

a b c (Å): 3.661 3.661 3.661
angles (deg): 90.00 90.00 90.00
Element x y z (fractional)
Mg 0.000 0.000 0.000
Sn 0.500 0.500 0.500

Properties
total energy	-2.89	eV per atom
space group	No. 221
energy relative to the elements	-8.15	kJ/mol of atoms

Record 15
MgSn after structural relaxation, computed with PBE-GGA.

a b c (Å): 3.318 3.318 4.373
angles (deg): 90.00 90.00 90.00
Element x y z (fractional)
Mg 0.000 0.000 0.000
Sn 0.500 0.500 0.500

Properties
total energy	-2.92	eV per atom
space group	No. 123
energy relative to the elements	-11.50	kJ/mol of atoms

Record 16
Mg3Sn after structural relaxation, computed with PBE-GGA.

a b c (Å): 3.316 5.186 5.441
angles (deg): 90.00 90.00 90.00
Element x y z (fractional)
Mg 0.000 0.000 0.667
Mg 0.000 0.500 0.334
Mg 0.500 0.500 0.833
Sn 0.500 0.000 0.166

Properties
total energy	-2.27	eV per atom
space group	No. 25
energy relative to the elements	-6.76	kJ/mol of atoms
magnetic moment	0.0	μB/f.u.

Record 17
MgSn after structural relaxation, computed with PBE-GGA.

a b c (Å): 8.571 8.571 5.276
angles (deg): 90.00 90.00 157.62
Element x y z (fractional)
Mg 0.333 0.667 0.000
Mg 0.111 0.889 0.500
Mg 0.446 0.554 0.500
Sn 0.994 0.006 0.000
Sn 0.668 0.332 0.000
Sn 0.782 0.218 0.500

Properties
total energy	-2.81	eV per atom
space group	No. 38
energy relative to the elements	-0.96	kJ/mol of atoms
magnetic moment	0.0	μB/f.u.

Record 18
MgSn after structural relaxation, computed with PBE-GGA.

a b c (Å): 3.336 3.336 10.492
angles (deg): 90.00 90.00 120.00
Element x y z (fractional)
Mg 0.667 0.333 0.881
Mg 0.333 0.667 0.119
Sn 0.333 0.667 0.640
Sn 0.667 0.333 0.360

Properties
total energy	-2.80	eV per atom
space group	No. 164
energy relative to the elements	0.04	kJ/mol of atoms
magnetic moment	0.0	μB/f.u.

Record 19
MgSn after structural relaxation, computed with PBE-GGA.

a b c (Å): 5.300 5.300 5.300
angles (deg): 37.32 37.32 37.32
Element x y z (fractional)
Mg 0.000 0.000 0.000
Sn 0.500 0.500 0.500

Properties
total energy	-2.91	eV per atom
space group	No. 166
energy relative to the elements	-10.56	kJ/mol of atoms

Record 20
Mg9Sn5 after structural relaxation, computed with PBE-GGA.

a b c (Å): 8.883 8.883 8.883
angles (deg): 96.93 96.93 96.93
Element x y z (fractional)
Mg 0.744 0.348 0.658
Mg 0.348 0.658 0.744
Mg 0.658 0.744 0.348
Mg 0.256 0.664 0.347
Mg 0.664 0.347 0.256
Mg 0.347 0.256 0.664
Mg 0.605 0.980 0.679
Mg 0.980 0.679 0.605
Mg 0.679 0.605 0.980
Mg 0.405 0.029 0.334
Mg 0.082 0.675 0.996
Mg 0.996 0.082 0.675
Mg 0.675 0.996 0.082
Mg 0.927 0.320 0.006
Mg 0.006 0.927 0.320
Mg 0.320 0.006 0.927
Mg 0.334 0.405 0.029
Mg 0.029 0.334 0.405
Sn 0.150 0.150 0.150
Sn 0.887 0.887 0.887
Sn 0.387 0.387 0.387
Sn 0.648 0.648 0.648
Sn 0.590 0.252 0.918
Sn 0.252 0.918 0.590
Sn 0.918 0.590 0.252
Sn 0.416 0.751 0.089
Sn 0.751 0.089 0.416
Sn 0.089 0.416 0.751

Properties
largest piezoelectric modulus	0.56	C/m2
total energy	-2.64	eV per atom
ΔE to the lowest computed polymorph	3.1	meV per atom
space group	No. 146
energy relative to the elements	-16.91	kJ/mol of atoms

Record 21
SrMg14Sn after structural relaxation, computed with PBE-GGA.

a b c (Å): 6.575 6.490 10.576
angles (deg): 90.00 90.00 119.57
Element x y z (fractional)
Sr 0.164 0.832 0.125
Mg 0.164 0.332 0.625
Mg 0.166 0.833 0.625
Mg 0.663 0.336 0.125
Mg 0.667 0.332 0.625
Mg 0.663 0.827 0.125
Mg 0.667 0.836 0.625
Mg 0.337 0.173 0.386
Mg 0.337 0.173 0.864
Mg 0.337 0.664 0.386
Mg 0.337 0.664 0.864
Mg 0.833 0.166 0.373
Mg 0.833 0.166 0.877
Mg 0.826 0.663 0.386
Mg 0.826 0.663 0.864
Sn 0.179 0.339 0.125

Properties
total energy	-1.77	eV per atom
ΔE to the lowest computed polymorph	0.0	meV per atom
space group	No. 38
energy relative to the elements	-1.54	kJ/mol of atoms
magnetic moment	0.0	μB/f.u.

Record 22
SrMg14Sn after structural relaxation, computed with PBE-GGA.

a b c (Å): 6.520 6.520 10.660
angles (deg): 90.00 90.00 120.00
Element x y z (fractional)
Sr 0.167 0.333 0.625
Mg 0.162 0.831 0.125
Mg 0.175 0.837 0.625
Mg 0.669 0.338 0.125
Mg 0.663 0.325 0.625
Mg 0.669 0.831 0.125
Mg 0.663 0.837 0.625
Mg 0.337 0.163 0.368
Mg 0.337 0.163 0.882
Mg 0.337 0.673 0.368
Mg 0.337 0.673 0.882
Mg 0.827 0.163 0.368
Mg 0.827 0.163 0.882
Mg 0.833 0.667 0.382
Mg 0.833 0.667 0.868
Sn 0.167 0.333 0.125

Properties
total energy	-1.74	eV per atom
ΔE to the lowest computed polymorph	31.2	meV per atom
space group	No. 187
energy relative to the elements	1.47	kJ/mol of atoms
magnetic moment	0.0	μB/f.u.

Record 23
TbMgSn after structural relaxation, computed with PBE-GGA.

a b c (Å): 4.417 4.417 8.574
angles (deg): 104.93 104.93 90.00
Element x y z (fractional)
Tb 0.667 0.667 0.333
Tb 0.333 0.333 0.667
Mg 0.500 0.000 0.000
Mg 0.000 0.500 0.000
Sn 0.864 0.864 0.728
Sn 0.136 0.136 0.272

Properties
total energy	-3.99	eV per atom
space group	No. 139
energy relative to the elements	-55.96	kJ/mol of atoms

Record 24
Mg6TiSn after structural relaxation, computed with PBE-GGA.

a b c (Å): 5.114 6.094 11.169
angles (deg): 90.00 90.00 90.00
Element x y z (fractional)
Mg 0.500 0.251 0.418
Mg 0.500 0.749 0.418
Mg 0.000 0.741 0.082
Mg 0.000 0.259 0.082
Mg 0.000 0.000 0.335
Mg 0.000 0.500 0.329
Mg 0.500 0.751 0.918
Mg 0.500 0.249 0.918
Mg 0.000 0.241 0.582
Mg 0.000 0.759 0.582
Mg 0.000 0.500 0.835
Mg 0.000 0.000 0.829
Ti 0.500 0.500 0.169
Ti 0.500 0.000 0.669
Sn 0.500 0.000 0.167
Sn 0.500 0.500 0.667

Properties
total energy	-2.68	eV per atom
ΔE to the lowest computed polymorph	0.0	meV per atom
energy relative to the elements	1.06	kJ/mol of atoms
magnetic moment	0.9	μB/f.u.